# Na6La4Si3S3O24 | the Materials Project database | GGA-PBE | relaxed
# - Total energy after the MP2020 corrections: -287.23 eV per formula unit
# - SG: No. 1
data_Na6La4Si3S3O24
_space_group_name_H-M_alt 'P 1'
_space_group_IT_number 1
_space_group_name_Hall 'P 1'
_cell_length_a 9.751
_cell_length_b 9.757
_cell_length_c 24.769
_cell_angle_alpha 89.86
_cell_angle_beta 89.99
_cell_angle_gamma 60.21
loop_
_atom_site_label
_atom_site_type_symbol
_atom_site_fract_x
_atom_site_fract_y
_atom_site_fract_z
Na1 Na 0.000 0.000 0.000
Na2 Na 0.001 0.632 0.493
Na3 Na 0.302 0.986 0.504
Na4 Na 0.313 0.683 0.586
Na5 Na 0.318 0.665 0.074
Na6 Na 0.330 0.334 0.663
Na7 Na 0.338 0.014 0.823
Na8 Na 0.616 0.713 0.667
Na9 Na 0.637 0.332 0.150
Na10 Na 0.655 0.982 0.745
Na11 Na 0.663 0.984 0.230
Na12 Na 0.669 0.618 0.992
Na13 Na 0.706 0.661 0.321
Na14 Na 0.930 0.670 0.831
Na15 Na 0.954 0.359 0.918
Na16 Na 0.956 0.016 0.313
Na17 Na 0.966 0.719 0.158
Na18 Na 0.973 0.365 0.408
La1 La 0.306 0.684 0.223
La2 La 0.313 0.686 0.727
La3 La 0.325 0.654 0.425
La4 La 0.336 0.642 0.929
La5 La 0.658 0.001 0.900
La6 La 0.658 0.983 0.596
La7 La 0.658 0.989 0.394
La8 La 0.660 0.996 0.091
La9 La 0.975 0.341 0.758
La10 La 0.977 0.338 0.062
La11 La 0.980 0.339 0.565
La12 La 0.986 0.341 0.254
Si1 Si 0.017 0.666 0.329
Si2 Si 0.286 0.036 0.659
Si3 Si 0.620 0.672 0.827
Si4 Si 0.650 0.697 0.493
Si5 Si 0.656 0.300 0.997
Si6 Si 0.681 0.637 0.162
Si7 Si 0.957 0.697 0.993
Si8 Si 0.979 0.035 0.162
Si9 Si 0.992 0.631 0.660
S1 S 0.021 0.965 0.829
S2 S 0.289 0.334 0.161
S3 S 0.316 0.365 0.824
S4 S 0.316 0.966 0.329
S5 S 0.348 0.999 0.992
S6 S 0.351 0.298 0.495
S7 S 0.623 0.365 0.326
S8 S 0.678 0.335 0.660
S9 S 0.956 0.999 0.492
O1 O 0.001 0.121 0.108
O2 O 0.011 0.528 0.604
O3 O 0.012 0.121 0.822
O4 O 0.098 0.865 0.780
O5 O 0.104 0.692 0.277
O6 O 0.114 0.850 0.488
O7 O 0.115 0.888 0.877
O8 O 0.117 0.654 0.385
O9 O 0.125 0.701 0.988
O10 O 0.127 0.849 0.163
O11 O 0.161 0.630 0.664
O12 O 0.170 0.121 0.324
O13 O 0.170 0.349 0.821
O14 O 0.185 0.118 0.603
O15 O 0.188 0.137 0.996
O16 O 0.191 0.354 0.113
O17 O 0.192 0.307 0.496
O18 O 0.197 0.141 0.713
O19 O 0.214 0.315 0.210
O20 O 0.295 0.465 0.871
O21 O 0.299 0.889 0.379
O22 O 0.302 0.480 0.165
O23 O 0.322 0.463 0.490
O24 O 0.325 0.849 0.661
O25 O 0.333 0.440 0.774
O26 O 0.335 0.853 0.988
O27 O 0.342 0.865 0.282
O28 O 0.422 0.018 0.941
O29 O 0.434 0.203 0.447
O30 O 0.443 0.226 0.544
O31 O 0.449 0.980 0.039
O32 O 0.450 0.196 0.157
O33 O 0.455 0.203 0.829
O34 O 0.460 0.984 0.334
O35 O 0.461 0.030 0.657
O36 O 0.481 0.695 0.487
O37 O 0.509 0.486 0.993
O38 O 0.514 0.634 0.167
O39 O 0.514 0.689 0.772
O40 O 0.520 0.482 0.665
O41 O 0.528 0.659 0.880
O42 O 0.530 0.439 0.277
O43 O 0.543 0.464 0.374
O44 O 0.624 0.810 0.546
O45 O 0.631 0.839 0.827
O46 O 0.634 0.222 0.052
O47 O 0.645 0.203 0.333
O48 O 0.653 0.198 0.655
O49 O 0.671 0.190 0.944
O50 O 0.672 0.787 0.439
O51 O 0.674 0.809 0.159
O52 O 0.755 0.356 0.612
O53 O 0.769 0.526 0.109
O54 O 0.775 0.313 0.708
O55 O 0.784 0.350 0.324
O56 O 0.788 0.554 0.218
O57 O 0.804 0.520 0.824
O58 O 0.812 0.028 0.161
O59 O 0.819 0.527 0.496
O60 O 0.823 0.308 0.995
O61 O 0.827 0.804 0.656
O62 O 0.838 0.834 0.332
O63 O 0.848 0.782 0.938
O64 O 0.861 0.980 0.831
O65 O 0.862 0.019 0.442
O66 O 0.871 0.806 0.047
O67 O 0.874 0.983 0.539
O68 O 0.962 0.545 0.712
O69 O 0.963 0.526 0.996
O70 O 0.968 0.134 0.218
O71 O 0.982 0.516 0.328
O72 O 0.983 0.135 0.496

***

# Y3GeS2 | the Materials Project database | GGA-PBE | relaxed
# - Total energy after the MP2020 corrections: -43.14 eV per formula unit
# - SG: No. 164
data_Y3GeS2
_space_group_name_H-M_alt 'P 1'
_space_group_IT_number 1
_space_group_name_Hall 'P 1'
_cell_length_a 4.041
_cell_length_b 4.041
_cell_length_c 9.730
_cell_angle_alpha 90.00
_cell_angle_beta 90.00
_cell_angle_gamma 120.00
loop_
_atom_site_label
_atom_site_type_symbol
_atom_site_fract_x
_atom_site_fract_y
_atom_site_fract_z
Y1 Y 0.000 0.000 0.000
Y2 Y 0.333 0.667 0.665
Y3 Y 0.667 0.333 0.335
Ge1 Ge 0.000 0.000 0.500
S1 S 0.333 0.667 0.159
S2 S 0.667 0.333 0.841

***

# RbHfMg14 | the Materials Project database | GGA-PBE | relaxed
# - E above lowest polymorph: 0.000 eV per atom
# - SG: No. 187
data_RbHfMg14
_space_group_name_H-M_alt 'P 1'
_space_group_IT_number 1
_space_group_name_Hall 'P 1'
_cell_length_a 6.635
_cell_length_b 6.635
_cell_length_c 10.346
_cell_angle_alpha 90.00
_cell_angle_beta 90.00
_cell_angle_gamma 120.00
loop_
_atom_site_label
_atom_site_type_symbol
_atom_site_fract_x
_atom_site_fract_y
_atom_site_fract_z
Rb1 Rb 0.000 0.000 0.000
Hf1 Hf 0.000 0.000 0.500
Mg1 Mg 0.001 0.501 0.500
Mg2 Mg 0.006 0.503 0.000
Mg3 Mg 0.170 0.341 0.264
Mg4 Mg 0.170 0.341 0.736
Mg5 Mg 0.170 0.830 0.264
Mg6 Mg 0.170 0.830 0.736
Mg7 Mg 0.497 0.503 0.000
Mg8 Mg 0.497 0.994 0.000
Mg9 Mg 0.499 0.501 0.500
Mg10 Mg 0.499 0.999 0.500
Mg11 Mg 0.659 0.830 0.264
Mg12 Mg 0.659 0.830 0.736
Mg13 Mg 0.667 0.333 0.248
Mg14 Mg 0.667 0.333 0.752

***

# NaNbO3 | the Materials Project database | GGA-PBE | relaxed
# - Total energy after the MP2020 corrections: -40.42 eV per formula unit
# - SG: No. 57
data_NaNbO3
_space_group_name_H-M_alt 'P 1'
_space_group_IT_number 1
_space_group_name_Hall 'P 1'
_cell_length_a 5.598
_cell_length_b 5.687
_cell_length_c 15.681
_cell_angle_alpha 90.00
_cell_angle_beta 90.00
_cell_angle_gamma 90.00
loop_
_atom_site_label
_atom_site_type_symbol
_atom_site_fract_x
_atom_site_fract_y
_atom_site_fract_z
Na1 Na 0.241 0.203 0.250
Na2 Na 0.241 0.250 0.000
Na3 Na 0.241 0.250 0.500
Na4 Na 0.241 0.297 0.750
Na5 Na 0.759 0.703 0.250
Na6 Na 0.759 0.750 0.000
Na7 Na 0.759 0.750 0.500
Na8 Na 0.759 0.797 0.750
Nb1 Nb 0.256 0.722 0.125
Nb2 Nb 0.256 0.722 0.375
Nb3 Nb 0.256 0.778 0.625
Nb4 Nb 0.256 0.778 0.875
Nb5 Nb 0.744 0.222 0.125
Nb6 Nb 0.744 0.222 0.375
Nb7 Nb 0.744 0.278 0.625
Nb8 Nb 0.744 0.278 0.875
O1 O 0.042 0.032 0.642
O2 O 0.042 0.032 0.858
O3 O 0.042 0.468 0.142
O4 O 0.042 0.468 0.358
O5 O 0.184 0.750 0.000
O6 O 0.184 0.750 0.500
O7 O 0.316 0.724 0.750
O8 O 0.316 0.776 0.250
O9 O 0.460 0.045 0.108
O10 O 0.460 0.045 0.392
O11 O 0.460 0.455 0.608
O12 O 0.460 0.455 0.892
O13 O 0.540 0.545 0.108
O14 O 0.540 0.545 0.392
O15 O 0.540 0.955 0.608
O16 O 0.540 0.955 0.892
O17 O 0.684 0.224 0.750
O18 O 0.684 0.276 0.250
O19 O 0.816 0.250 0.000
O20 O 0.816 0.250 0.500
O21 O 0.958 0.532 0.642
O22 O 0.958 0.532 0.858
O23 O 0.958 0.968 0.142
O24 O 0.958 0.968 0.358

***

# Cu3P4H24C6N2O16 | the Materials Project database | GGA-PBE | relaxed
# - Total energy after the MP2020 corrections: -323.65 eV per formula unit
# - SG: No. 2
data_Cu3P4H24C6N2O16
_space_group_name_H-M_alt 'P 1'
_space_group_IT_number 1
_space_group_name_Hall 'P 1'
_cell_length_a 7.583
_cell_length_b 8.190
_cell_length_c 10.278
_cell_angle_alpha 108.52
_cell_angle_beta 104.07
_cell_angle_gamma 104.60
loop_
_atom_site_label
_atom_site_type_symbol
_atom_site_fract_x
_atom_site_fract_y
_atom_site_fract_z
Cu1 Cu 0.000 0.000 0.000
Cu2 Cu 0.132 0.420 0.938
Cu3 Cu 0.868 0.580 0.062
P1 P 0.046 0.386 0.236
P2 P 0.397 0.228 0.865
P3 P 0.603 0.772 0.135
P4 P 0.954 0.614 0.764
H1 H 0.001 0.097 0.649
H2 H 0.018 0.199 0.520
H3 H 0.137 0.528 0.603
H4 H 0.140 0.763 0.377
H5 H 0.197 0.944 0.784
H6 H 0.262 0.870 0.099
H7 H 0.275 0.053 0.231
H8 H 0.292 0.664 0.791
H9 H 0.340 0.323 0.389
H10 H 0.355 0.288 0.642
H11 H 0.467 0.493 0.806
H12 H 0.469 0.717 0.554
H13 H 0.531 0.283 0.446
H14 H 0.533 0.507 0.194
H15 H 0.645 0.712 0.358
H16 H 0.660 0.677 0.611
H17 H 0.708 0.336 0.209
H18 H 0.725 0.947 0.769
H19 H 0.738 0.130 0.901
H20 H 0.803 0.056 0.216
H21 H 0.860 0.237 0.623
H22 H 0.863 0.472 0.397
H23 H 0.982 0.801 0.480
H24 H 0.999 0.903 0.351
C1 C 0.001 0.782 0.374
C2 C 0.155 0.551 0.718
C3 C 0.351 0.357 0.751
C4 C 0.649 0.643 0.249
C5 C 0.845 0.449 0.282
C6 C 0.999 0.218 0.626
N1 N 0.162 0.383 0.742
N2 N 0.838 0.617 0.258
O1 O 0.029 0.828 0.829
O2 O 0.057 0.460 0.114
O3 O 0.185 0.945 0.135
O4 O 0.231 0.476 0.369
O5 O 0.281 0.266 0.969
O6 O 0.303 0.015 0.758
O7 O 0.387 0.719 0.062
O8 O 0.391 0.222 0.392
O9 O 0.609 0.778 0.608
O10 O 0.613 0.281 0.938
O11 O 0.697 0.985 0.242
O12 O 0.719 0.734 0.031
O13 O 0.769 0.524 0.631
O14 O 0.815 0.055 0.865
O15 O 0.943 0.540 0.886
O16 O 0.971 0.172 0.171

***

# ThBO3 | the Materials Project database | GGA-PBE | relaxed
# - Total energy after the MP2020 corrections: -40.88 eV per formula unit
# - SG: No. 221
data_ThBO3
_space_group_name_H-M_alt 'P 1'
_space_group_IT_number 1
_space_group_name_Hall 'P 1'
_cell_length_a 3.682
_cell_length_b 3.682
_cell_length_c 3.682
_cell_angle_alpha 90.00
_cell_angle_beta 90.00
_cell_angle_gamma 90.00
loop_
_atom_site_label
_atom_site_type_symbol
_atom_site_fract_x
_atom_site_fract_y
_atom_site_fract_z
Th1 Th 0.000 0.000 0.000
B1 B 0.500 0.500 0.500
O1 O 0.000 0.500 0.500
O2 O 0.500 0.000 0.500
O3 O 0.500 0.500 0.000

***

# InAgTeSe | the Materials Project database | GGA-PBE | relaxed
# - Total energy after the MP2020 corrections: -14.06 eV per formula unit
# - SG: No. 24
data_InAgTeSe
_space_group_name_H-M_alt 'P 1'
_space_group_IT_number 1
_space_group_name_Hall 'P 1'
_cell_length_a 7.716
_cell_length_b 7.716
_cell_length_c 7.716
_cell_angle_alpha 130.98
_cell_angle_beta 130.53
_cell_angle_gamma 72.20
loop_
_atom_site_label
_atom_site_type_symbol
_atom_site_fract_x
_atom_site_fract_y
_atom_site_fract_z
In1 In 0.134 0.384 0.750
In2 In 0.366 0.116 0.250
Ag1 Ag 0.631 0.881 0.750
Ag2 Ag 0.869 0.619 0.250
Te1 Te 0.250 0.996 0.746
Te2 Te 0.750 0.504 0.754
Se1 Se 0.006 0.250 0.256
Se2 Se 0.494 0.750 0.244

***

# Al27Fe2Ni4 | the Materials Project database | GGA-PBE | relaxed
# - SG: No. 1
data_Al27Fe2Ni4
_space_group_name_H-M_alt 'P 1'
_space_group_IT_number 1
_space_group_name_Hall 'P 1'
_cell_length_a 6.214
_cell_length_b 6.272
_cell_length_c 25.764
_cell_angle_alpha 90.10
_cell_angle_beta 95.04
_cell_angle_gamma 90.00
loop_
_atom_site_label
_atom_site_type_symbol
_atom_site_fract_x
_atom_site_fract_y
_atom_site_fract_z
Al1 Al 0.000 0.000 0.000
Al2 Al 0.000 0.000 0.333
Al3 Al 0.000 0.080 0.834
Al4 Al 0.001 0.080 0.167
Al5 Al 0.121 0.401 0.772
Al6 Al 0.121 0.402 0.106
Al7 Al 0.122 0.402 0.439
Al8 Al 0.122 0.675 0.270
Al9 Al 0.123 0.675 0.937
Al10 Al 0.124 0.676 0.604
Al11 Al 0.298 0.096 0.255
Al12 Al 0.299 0.095 0.921
Al13 Al 0.299 0.096 0.588
Al14 Al 0.299 0.984 0.089
Al15 Al 0.300 0.984 0.755
Al16 Al 0.303 0.983 0.423
Al17 Al 0.311 0.758 0.180
Al18 Al 0.312 0.758 0.846
Al19 Al 0.313 0.315 0.013
Al20 Al 0.313 0.315 0.680
Al21 Al 0.313 0.317 0.346
Al22 Al 0.316 0.757 0.512
Al23 Al 0.503 0.263 0.168
Al24 Al 0.503 0.263 0.834
Al25 Al 0.504 0.257 0.501
Al26 Al 0.506 0.816 0.001
Al27 Al 0.506 0.817 0.667
Al28 Al 0.507 0.817 0.334
Al29 Al 0.516 0.484 0.257
Al30 Al 0.516 0.485 0.924
Al31 Al 0.517 0.483 0.590
Al32 Al 0.521 0.592 0.092
Al33 Al 0.521 0.593 0.758
Al34 Al 0.521 0.596 0.426
Al35 Al 0.696 0.176 0.410
Al36 Al 0.697 0.177 0.076
Al37 Al 0.697 0.901 0.242
Al38 Al 0.697 0.901 0.909
Al39 Al 0.697 0.902 0.575
Al40 Al 0.698 0.177 0.742
Al41 Al 0.820 0.500 0.347
Al42 Al 0.820 0.501 0.014
Al43 Al 0.820 0.501 0.680
Al44 Al 0.823 0.579 0.513
Al45 Al 0.824 0.575 0.180
Al46 Al 0.824 0.575 0.847
Al47 Al 0.909 0.291 0.589
Al48 Al 0.909 0.791 0.424
Al49 Al 0.911 0.290 0.923
Al50 Al 0.911 0.790 0.090
Al51 Al 0.911 0.790 0.757
Al52 Al 0.912 0.290 0.256
Al53 Al 0.996 0.079 0.500
Al54 Al 0.999 0.000 0.666
Fe1 Fe 0.174 0.408 0.201
Fe2 Fe 0.174 0.408 0.535
Fe3 Fe 0.174 0.408 0.868
Fe4 Fe 0.645 0.908 0.478
Ni1 Ni 0.173 0.669 0.367
Ni2 Ni 0.175 0.667 0.034
Ni3 Ni 0.176 0.667 0.701
Ni4 Ni 0.645 0.909 0.812
Ni5 Ni 0.645 0.910 0.145
Ni6 Ni 0.646 0.168 0.312
Ni7 Ni 0.646 0.169 0.646
Ni8 Ni 0.646 0.169 0.979

***

# MnSiN2 | the Materials Project database | GGA-PBE | relaxed
# - Total energy after the MP2020 corrections: -34.49 eV per formula unit
# - Maximum piezoelectric response: 1.02 C/m²
# - SG: No. 33
data_MnSiN2
_space_group_name_H-M_alt 'P 1'
_space_group_IT_number 1
_space_group_name_Hall 'P 1'
_cell_length_a 5.322
_cell_length_b 6.531
_cell_length_c 5.123
_cell_angle_alpha 90.00
_cell_angle_beta 90.00
_cell_angle_gamma 90.00
loop_
_atom_site_label
_atom_site_type_symbol
_atom_site_fract_x
_atom_site_fract_y
_atom_site_fract_z
Mn1 Mn 0.080 0.124 0.000
Mn2 Mn 0.420 0.624 0.500
Mn3 Mn 0.580 0.376 0.000
Mn4 Mn 0.920 0.876 0.500
Si1 Si 0.068 0.625 0.005
Si2 Si 0.432 0.125 0.505
Si3 Si 0.568 0.875 0.005
Si4 Si 0.932 0.375 0.505
N1 N 0.048 0.592 0.346
N2 N 0.114 0.159 0.417
N3 N 0.386 0.659 0.917
N4 N 0.452 0.092 0.846
N5 N 0.548 0.908 0.346
N6 N 0.614 0.341 0.417
N7 N 0.886 0.841 0.917
N8 N 0.952 0.408 0.846

***

# BaCl2 | the Materials Project database | GGA-PBE | relaxed
# - Total energy after the MP2020 corrections: -14.45 eV per formula unit
# - SG: No. 62
data_BaCl2
_space_group_name_H-M_alt 'P 1'
_space_group_IT_number 1
_space_group_name_Hall 'P 1'
_cell_length_a 8.010
_cell_length_b 4.833
_cell_length_c 9.550
_cell_angle_alpha 90.00
_cell_angle_beta 90.00
_cell_angle_gamma 90.00
loop_
_atom_site_label
_atom_site_type_symbol
_atom_site_fract_x
_atom_site_fract_y
_atom_site_fract_z
Ba1 Ba 0.247 0.250 0.112
Ba2 Ba 0.253 0.750 0.612
Ba3 Ba 0.747 0.250 0.388
Ba4 Ba 0.753 0.750 0.888
Cl1 Cl 0.023 0.250 0.835
Cl2 Cl 0.141 0.250 0.427
Cl3 Cl 0.359 0.750 0.927
Cl4 Cl 0.477 0.750 0.335
Cl5 Cl 0.523 0.250 0.665
Cl6 Cl 0.641 0.250 0.073
Cl7 Cl 0.859 0.750 0.573
Cl8 Cl 0.977 0.750 0.165

***

# ErCuPb | the Materials Project database | GGA-PBE | relaxed
# - SG: No. 186
data_ErCuPb
_space_group_name_H-M_alt 'P 1'
_space_group_IT_number 1
_space_group_name_Hall 'P 1'
_cell_length_a 4.596
_cell_length_b 4.596
_cell_length_c 7.320
_cell_angle_alpha 90.00
_cell_angle_beta 90.00
_cell_angle_gamma 120.00
loop_
_atom_site_label
_atom_site_type_symbol
_atom_site_fract_x
_atom_site_fract_y
_atom_site_fract_z
Er1 Er 0.000 0.000 0.000
Er2 Er 0.000 0.000 0.500
Cu1 Cu 0.333 0.667 0.169
Cu2 Cu 0.667 0.333 0.669
Pb1 Pb 0.333 0.667 0.769
Pb2 Pb 0.667 0.333 0.269

***

Number 1: ΔH_f (0 K) -2.803 eV/atom. Number 2: ΔH_f (0 K) -1.808 eV/atom. Number 3: ΔH_f (0 K) 0.179 eV/atom. Number 4: ΔH_f (0 K) -2.831 eV/atom. Number 5: ΔH_f (0 K) -1.037 eV/atom. Number 6: ΔH_f (0 K) -2.389 eV/atom. Number 7: ΔH_f (0 K) -0.460 eV/atom. Number 8: ΔH_f (0 K) -0.289 eV/atom. Number 9: ΔH_f (0 K) -0.808 eV/atom. Number 10: ΔH_f (0 K) -2.944 eV/atom. Number 11: ΔH_f (0 K) -0.371 eV/atom.